[1]
# CsUV3O11, relaxed, DFT GGA+U
# Crystal system ... monoclinic
# Total energy ... -7.7648 eV per atom
data_CsUV3O11
_chemical_formula_sum 'Cs4 U4 V12 O44'
_cell_length_a 12.643
_cell_length_b 6.909
_cell_length_c 12.062
_cell_angle_alpha 90.00
_cell_angle_beta 106.64
_cell_angle_gamma 90.00
_space_group_name_H-M_alt 'P 1 21/c 1'
_space_group_IT_number 14
_space_group_name_Hall '-P 2ybc'
loop_
_atom_site_label
_atom_site_type_symbol
_atom_site_fract_x
_atom_site_fract_y
_atom_site_fract_z
_atom_site_occupancy
Cs1 Cs 0.052 0.234 0.382 1
U1 U 0.315 0.502 0.196 1
V1 V 0.269 0.749 0.932 1
V2 V 0.271 0.005 0.183 1
V3 V 0.359 0.249 0.959 1
O1 O 0.134 0.747 0.890 1
O2 O 0.136 0.019 0.144 1
O3 O 0.164 0.007 0.650 1
O4 O 0.304 0.692 0.590 1
O5 O 0.306 0.692 0.794 1
O6 O 0.307 0.002 0.900 1
O7 O 0.309 0.003 0.487 1
O8 O 0.313 0.193 0.091 1
O9 O 0.316 0.193 0.299 1
O10 O 0.464 0.505 0.240 1
O11 O 0.493 0.248 0.999 1

[2]
# CsV2O5, relaxed, DFT GGA+U
# Crystal system ... hexagonal
# Energy above the lowest structure with this stoichiometry ... 104.0 meV/atom
# Total energy ... -6.9732 eV per atom
data_CsV2O5
_chemical_formula_sum 'Cs1 V2 O5'
_cell_length_a 5.8898
_cell_length_b 5.8898
_cell_length_c 5.6264
_cell_angle_alpha 90.00
_cell_angle_beta 90.00
_cell_angle_gamma 120.00
_space_group_name_H-M_alt 'P 6 m m'
_space_group_IT_number 183
_space_group_name_Hall 'P 6 -2'
loop_
_atom_site_label
_atom_site_type_symbol
_atom_site_fract_x
_atom_site_fract_y
_atom_site_fract_z
_atom_site_occupancy
Cs1 Cs 0.0000 0.0000 0.0000 1
V1 V 0.3333 0.6667 0.5144 1
O1 O 0.0000 0.5000 0.6286 1
O2 O 0.3333 0.6667 0.2211 1

[3]
# CsV2O5, relaxed, DFT GGA+U
# Crystal system ... monoclinic
# Energy above the lowest structure with this stoichiometry ... 0.0 meV/atom
# Total energy ... -7.0772 eV per atom
data_CsV2O5
_chemical_formula_sum 'Cs4 V8 O20'
_cell_length_a 7.442
_cell_length_b 10.002
_cell_length_c 7.974
_cell_angle_alpha 90.00
_cell_angle_beta 90.61
_cell_angle_gamma 90.00
_space_group_name_H-M_alt 'P 1 21/c 1'
_space_group_IT_number 14
_space_group_name_Hall '-P 2ybc'
loop_
_atom_site_label
_atom_site_type_symbol
_atom_site_fract_x
_atom_site_fract_y
_atom_site_fract_z
_atom_site_occupancy
Cs1 Cs 0.099 0.126 0.231 1
V1 V 0.379 0.705 0.512 1
V2 V 0.388 0.023 0.664 1
O1 O 0.171 0.681 0.581 1
O2 O 0.181 0.076 0.621 1
O3 O 0.392 0.628 0.315 1
O4 O 0.435 0.615 0.982 1
O5 O 0.461 0.133 0.856 1

[4]
# Cs2V4O9, relaxed, DFT GGA+U
# Crystal system ... tetragonal
# Total energy ... -7.1175 eV per atom
data_Cs2V4O9
_chemical_formula_sum 'Cs4 V8 O18'
_cell_length_a 5.853
_cell_length_b 5.853
_cell_length_c 15.612
_cell_angle_alpha 90.00
_cell_angle_beta 90.00
_cell_angle_gamma 90.00
_space_group_name_H-M_alt 'P 42/m'
_space_group_IT_number 84
_space_group_name_Hall '-P 4c'
loop_
_atom_site_label
_atom_site_type_symbol
_atom_site_fract_x
_atom_site_fract_y
_atom_site_fract_z
_atom_site_occupancy
Cs1 Cs 0.233 0.250 0.000 1
V1 V 0.212 0.355 0.297 1
O1 O 0.120 0.680 0.283 1
O2 O 0.263 0.282 0.399 1
O3 O 0.500 0.500 0.250 1

Which of these has the highest total energy?
number 2

What is the formula in the third record?
CsV2O5

What is the formula in the first record?
CsUV3O11

The lowest total energy belongs to which entry?
CsUV3O11